one:
First-principles (GGA-PBE) data for a geometry-optimized LiCuPO4 structure, as listed in the Materials Project.

Properties
Crystal system: orthorhombic
Theoretical density, g cm⁻³: 3.800

a = 4.742 Å, b = 6.038 Å, c = 10.102 Å
α = 90.00°, β = 90.00°, γ = 90.00°
Element x y z (fractional)
O 0.788 0.955 0.667
Cu 0.478 0.750 0.782
O 0.788 0.545 0.667
P 0.075 0.250 0.404
O 0.288 0.045 0.833
O 0.212 0.455 0.333
O 0.802 0.750 0.453
O 0.288 0.455 0.833
O 0.302 0.250 0.047
Cu 0.022 0.750 0.282
O 0.212 0.045 0.333
O 0.750 0.250 0.901
O 0.750 0.250 0.401
P 0.575 0.750 0.096
O 0.250 0.750 0.099
Li 0.500 0.000 0.500
O 0.250 0.750 0.599
P 0.925 0.750 0.596
O 0.198 0.250 0.547
Cu 0.978 0.250 0.718
O 0.712 0.955 0.167
Cu 0.522 0.250 0.218
O 0.698 0.750 0.953
P 0.425 0.250 0.904
Li 0.500 0.500 0.500
Li 0.000 0.500 0.000
O 0.712 0.545 0.167
Li 0.000 0.000 0.000

***

two:
First-principles (GGA-PBE) data for a geometry-optimized LiCuPO4 structure, as listed in the Materials Project.

Properties
Crystal system: hexagonal
Theoretical density, g cm⁻³: 2.918

a = 10.811 Å, b = 10.811 Å, c = 11.164 Å
α = 90.00°, β = 90.00°, γ = 120.00°
Element x y z (fractional)
Cu 0.000 0.765 0.333
Li 0.500 0.500 0.667
O 0.105 0.224 0.203
P 0.750 0.250 0.167
O 0.413 0.611 0.908
O 0.416 0.295 0.749
Li 0.000 0.000 0.833
O 0.050 0.682 0.730
O 0.318 0.950 0.604
O 0.682 0.050 0.604
O 0.198 0.611 0.092
Li 0.500 0.000 0.681
O 0.802 0.389 0.092
O 0.776 0.882 0.537
O 0.416 0.122 0.918
O 0.389 0.802 0.241
O 0.611 0.198 0.241
P 0.250 0.750 0.167
O 0.776 0.895 0.130
P 0.250 0.500 0.500
O 0.882 0.105 0.870
P 0.000 0.259 0.833
Cu 0.753 0.247 0.667
O 0.878 0.584 0.416
P 0.259 0.000 0.500
O 0.368 0.050 0.396
O 0.587 0.198 0.759
O 0.632 0.682 0.270
O 0.895 0.118 0.463
O 0.705 0.122 0.082
O 0.895 0.776 0.203
O 0.950 0.632 0.937
Li 0.000 0.500 0.652
O 0.950 0.318 0.730
O 0.389 0.587 0.425
Li 0.000 0.500 0.333
O 0.118 0.895 0.870
P 0.500 0.750 0.833
O 0.122 0.416 0.416
O 0.584 0.705 0.749
O 0.413 0.802 0.759
O 0.295 0.416 0.584
Li 0.000 0.000 0.500
O 0.224 0.118 0.537
O 0.878 0.295 0.251
Cu 0.000 0.235 0.333
O 0.882 0.776 0.797
O 0.802 0.413 0.575
Cu 0.507 0.753 0.333
Li 0.500 0.500 0.986
Cu 0.235 0.000 0.000
O 0.224 0.105 0.130
O 0.705 0.584 0.584
O 0.682 0.632 0.063
O 0.050 0.368 0.937
Cu 0.765 0.765 0.667
Cu 0.235 0.235 0.667
P 0.000 0.741 0.833
P 0.741 0.741 0.167
Cu 0.247 0.493 0.000
Cu 0.247 0.753 0.667
Li 0.000 0.000 0.167
O 0.632 0.950 0.396
O 0.122 0.705 0.251
P 0.741 0.000 0.500
Cu 0.753 0.507 0.000
Cu 0.493 0.247 0.333
O 0.368 0.318 0.270
O 0.584 0.878 0.918
O 0.118 0.224 0.797
Li 0.500 0.000 0.000
Cu 0.765 0.000 0.000
O 0.198 0.587 0.575
P 0.259 0.259 0.167
Li 0.500 0.500 0.348
O 0.295 0.878 0.082
P 0.750 0.500 0.500
O 0.318 0.368 0.063
P 0.500 0.250 0.833
O 0.611 0.413 0.425
Li 0.500 0.000 0.319
Li 0.000 0.500 0.014
O 0.105 0.882 0.463
O 0.587 0.389 0.908

***

three:
First-principles (GGA-PBE) data for a geometry-optimized LiCuPO4 structure, as listed in the Materials Project.

Properties
Crystal system: monoclinic
Theoretical density, g cm⁻³: 3.128

a = 9.763 Å, b = 4.894 Å, c = 7.433 Å
α = 81.59°, β = 90.00°, γ = 90.00°
Element x y z (fractional)
Li 0.755 0.351 0.247
O 0.207 0.544 0.018
Li 0.308 0.700 0.217
O 0.792 0.594 0.570
Cu 0.498 0.129 0.940
Li 0.808 0.300 0.783
O 0.331 0.943 0.592
O 0.539 0.218 0.455
O 0.831 0.057 0.408
O 0.039 0.782 0.545
O 0.601 0.893 0.789
Cu 0.661 0.913 0.540
P 0.197 0.229 0.045
O 0.914 0.638 0.267
Li 0.255 0.649 0.753
P 0.401 0.232 0.554
Cu 0.998 0.871 0.060
P 0.697 0.771 0.955
Cu 0.161 0.087 0.460
O 0.414 0.362 0.733
O 0.619 0.884 0.112
O 0.838 0.909 0.906
O 0.101 0.107 0.211
O 0.292 0.406 0.430
O 0.338 0.091 0.094
O 0.707 0.456 0.982
O 0.119 0.116 0.888
P 0.901 0.768 0.446

***

four:
First-principles (GGA-PBE) data for a geometry-optimized LiCuPO4 structure, as listed in the Materials Project.

Properties
Crystal system: monoclinic
Theoretical density, g cm⁻³: 3.506

a = 6.092 Å, b = 5.541 Å, c = 10.556 Å
α = 61.63°, β = 90.00°, γ = 90.00°
Element x y z (fractional)
P 0.647 0.357 0.367
Li 0.639 0.776 0.070
O 0.360 0.322 0.723
P 0.353 0.643 0.633
O 0.640 0.678 0.277
O 0.062 0.272 0.966
Cu 0.614 0.205 0.642
Cu 0.386 0.795 0.358
O 0.655 0.235 0.263
O 0.165 0.762 0.517
Li 0.861 0.776 0.570
Cu 0.886 0.205 0.142
O 0.335 0.762 0.017
Cu 0.114 0.795 0.858
P 0.147 0.643 0.133
O 0.845 0.235 0.763
O 0.665 0.238 0.983
O 0.438 0.272 0.466
O 0.860 0.678 0.777
O 0.155 0.765 0.237
Li 0.361 0.224 0.930
Li 0.139 0.224 0.430
P 0.853 0.357 0.867
O 0.562 0.728 0.534
O 0.835 0.238 0.483
O 0.345 0.765 0.737
O 0.938 0.728 0.034
O 0.140 0.322 0.223

***

Of them, two has the lowest stability.